# 1
Entry from the Materials Project database: a geometry-optimized Li4V3O8 structure (PBE with a Hubbard U).

Cell lengths 5.853, 6.151, 8.497 Å; angles 86.03, 90.09, 89.93 degrees
Sites, in units of the cell vectors:
O: 0.736 0.781 0.524
O: 0.239 0.269 0.014
O: 0.750 0.733 0.974
O: 0.765 0.281 0.024
O: 0.262 0.772 0.515
O: 0.495 0.970 0.734
O: 0.004 0.472 0.236
O: 0.010 0.961 0.745
O: 0.485 0.537 0.757
O: 0.274 0.220 0.489
O: 0.750 0.234 0.474
O: 0.015 0.038 0.257
O: 0.226 0.718 0.990
O: 0.507 0.028 0.263
O: 0.993 0.527 0.764
O: 0.489 0.462 0.245
Li: 0.007 0.002 0.999
Li: 0.008 0.716 0.357
Li: 0.005 0.999 0.501
Li: 0.493 0.214 0.857
Li: 0.494 0.783 0.143
Li: 0.496 0.498 0.000
Li: 0.493 0.503 0.500
Li: 0.005 0.282 0.643
V: 0.253 0.248 0.244
V: 0.246 0.746 0.746
V: 0.494 0.001 0.498
V: 0.006 0.500 0.999
V: 0.754 0.253 0.255
V: 0.746 0.752 0.755

Results
* symmetry: P1 (1)
* formation energy from the elements: -2441 meV per atom

---

# 2
Entry from the Materials Project database: a geometry-optimized BaFe2P4O14 structure (PBE with a Hubbard U).

Cell lengths 7.587, 9.157, 9.637 Å; angles 64.62, 100.88, 100.81 degrees
Sites, in units of the cell vectors:
P: 0.305 0.785 0.550
P: 0.922 0.737 0.454
P: 0.578 0.763 0.046
P: 0.195 0.715 0.950
P: 0.805 0.285 0.050
P: 0.078 0.263 0.546
P: 0.422 0.237 0.954
P: 0.695 0.215 0.450
O: 0.886 0.314 0.904
O: 0.896 0.158 0.503
O: 0.236 0.172 0.562
O: 0.446 0.227 0.804
O: 0.736 0.672 0.062
O: 0.614 0.186 0.596
O: 0.764 0.828 0.438
O: 0.092 0.621 0.859
O: 0.946 0.727 0.304
O: 0.114 0.686 0.096
O: 0.408 0.879 0.641
O: 0.898 0.569 0.591
O: 0.102 0.431 0.409
O: 0.398 0.069 0.091
O: 0.602 0.931 0.909
O: 0.283 0.598 0.644
O: 0.386 0.814 0.404
O: 0.396 0.658 0.003
O: 0.604 0.342 0.997
O: 0.783 0.098 0.144
O: 0.054 0.273 0.696
O: 0.592 0.121 0.359
O: 0.264 0.328 0.938
O: 0.217 0.902 0.856
O: 0.717 0.402 0.356
O: 0.554 0.773 0.196
O: 0.104 0.842 0.497
O: 0.908 0.379 0.141
Fe: 0.081 0.457 0.772
Fe: 0.419 0.043 0.728
Fe: 0.581 0.957 0.272
Fe: 0.919 0.543 0.228
Ba: 0.000 0.000 0.000
Ba: 0.500 0.500 0.500

Results
* formation energy from the elements: -2640 meV per atom

---

# 3
Entry from the Materials Project database: a geometry-optimized Cr4CdCuO8 structure (PBE with a Hubbard U).

Cell lengths 6.104, 6.104, 6.104 Å; angles 60.00, 60.00, 60.00 degrees
Sites, in units of the cell vectors:
Cr: 0.625 0.625 0.625
Cr: 0.126 0.625 0.625
Cr: 0.625 0.126 0.625
Cr: 0.625 0.625 0.126
O: 0.857 0.857 0.430
O: 0.836 0.388 0.388
O: 0.857 0.857 0.857
O: 0.388 0.388 0.388
O: 0.388 0.836 0.388
O: 0.388 0.388 0.836
O: 0.430 0.857 0.857
O: 0.857 0.430 0.857
Cd: 0.000 0.000 0.000
Cu: 0.250 0.250 0.250

Results
* symmetry: F-43m (216)
* formation energy from the elements: -2022 meV per atom

---

# 4
Entry from the Materials Project database: a geometry-optimized SrCa3Mn4O11 structure (PBE with a Hubbard U).

Cell lengths 7.719, 7.720, 7.711 Å; angles 90.00, 90.00, 90.00 degrees
Sites, in units of the cell vectors:
Mn: 0.000 0.998 0.991
Mn: 0.000 0.502 0.495
Mn: 0.500 0.998 0.495
Mn: 0.500 0.502 0.991
Mn: 0.500 0.502 0.509
Mn: 0.000 0.998 0.509
Mn: 0.500 0.998 0.005
Mn: 0.000 0.502 0.005
Sr: 0.250 0.250 0.250
Sr: 0.750 0.250 0.250
Ca: 0.250 0.750 0.250
Ca: 0.750 0.250 0.750
Ca: 0.250 0.250 0.750
Ca: 0.750 0.750 0.250
Ca: 0.750 0.750 0.750
Ca: 0.250 0.750 0.750
O: 0.755 0.995 0.483
O: 0.000 0.502 0.250
O: 0.255 0.505 0.017
O: 0.500 0.998 0.250
O: 0.000 0.755 0.477
O: 0.000 0.755 0.023
O: 0.500 0.254 0.010
O: 0.745 0.505 0.017
O: 0.245 0.995 0.483
O: 0.755 0.995 0.017
O: 0.255 0.505 0.483
O: 0.000 0.504 0.750
O: 0.000 0.246 0.490
O: 0.500 0.745 0.477
O: 0.000 0.996 0.750
O: 0.245 0.995 0.017
O: 0.000 0.246 0.010
O: 0.500 0.254 0.490
O: 0.500 0.996 0.750
O: 0.745 0.505 0.483
O: 0.500 0.504 0.750
O: 0.500 0.745 0.023

Results
* symmetry: Pmma (51)
* formation energy from the elements: -2463 meV per atom

---

Which of these has the highest formation energy from the elements?
Cr4CdCuO8

---

Which of these has the lowest formation energy from the elements?
BaFe2P4O14